## MgIn2Se4 (PBE)

Data for MgIn2Se4 after structural relaxation.

Cell: 13.2475 8.0166 13.5533 Å, 90.00 90.00 90.00°
Atoms (fractional coordinates):
Mg (0.1023, 0.3526, 0.7066)
Mg (0.8977, 0.6474, 0.2066)
Mg (0.3977, 0.3526, 0.2066)
Mg (0.6023, 0.6474, 0.7066)
Mg (0.1244, 0.8710, 0.3195)
Mg (0.8756, 0.1290, 0.8195)
Mg (0.3756, 0.8710, 0.8195)
Mg (0.6244, 0.1290, 0.3195)
In (0.0889, 0.8622, 0.6822)
In (0.9111, 0.1378, 0.1822)
In (0.4111, 0.8622, 0.1822)
In (0.5889, 0.1378, 0.6822)
In (0.1252, 0.3672, 0.3330)
In (0.8748, 0.6328, 0.8330)
In (0.3748, 0.3672, 0.8330)
In (0.6252, 0.6328, 0.3330)
In (0.1626, 0.6137, 0.9421)
In (0.8374, 0.3863, 0.4421)
In (0.3374, 0.6137, 0.4421)
In (0.6626, 0.3863, 0.9421)
In (0.1624, 0.1182, 0.9551)
In (0.8376, 0.8818, 0.4551)
In (0.3376, 0.1182, 0.4551)
In (0.6624, 0.8818, 0.9551)
Se (0.0324, 0.8651, 0.8822)
Se (0.9676, 0.1349, 0.3822)
Se (0.4676, 0.8651, 0.3822)
Se (0.5324, 0.1349, 0.8822)
Se (0.0268, 0.4064, 0.1615)
Se (0.9732, 0.5936, 0.6615)
Se (0.4732, 0.4064, 0.6615)
Se (0.5268, 0.5936, 0.1615)
Se (0.0263, 0.3559, 0.8998)
Se (0.9737, 0.6441, 0.3998)
Se (0.4737, 0.3559, 0.3998)
Se (0.5263, 0.6441, 0.8998)
Se (0.0263, 0.8789, 0.1491)
Se (0.9737, 0.1211, 0.6491)
Se (0.4737, 0.8789, 0.6491)
Se (0.5263, 0.1211, 0.1491)
Se (0.2122, 0.8659, 0.5114)
Se (0.7878, 0.1341, 0.0114)
Se (0.2878, 0.8659, 0.0114)
Se (0.7122, 0.1341, 0.5114)
Se (0.2129, 0.3722, 0.5183)
Se (0.7871, 0.6278, 0.0183)
Se (0.2871, 0.3722, 0.0183)
Se (0.7129, 0.6278, 0.5183)
Se (0.2453, 0.1220, 0.7718)
Se (0.7547, 0.8780, 0.2718)
Se (0.2547, 0.1220, 0.2718)
Se (0.7453, 0.8780, 0.7718)
Se (0.2479, 0.6193, 0.7643)
Se (0.7521, 0.3807, 0.2643)
Se (0.2521, 0.6193, 0.2643)
Se (0.7479, 0.3807, 0.7643)

For the magnetic moment, the calculation gives 0.00 Bohr magnetons per cell.


## MgIn2Se4 (PBE)

Data for MgIn2Se4 after structural relaxation.

Cell: 9.6608 5.7358 13.9081 Å, 90.00 90.00 90.00°
Atoms (fractional coordinates):
Mg (0.1519, 0.2500, 0.4361)
Mg (0.8481, 0.7500, 0.5639)
Mg (0.3481, 0.7500, 0.9361)
Mg (0.6519, 0.2500, 0.0639)
In (0.0866, 0.7500, 0.2519)
In (0.9134, 0.2500, 0.7481)
In (0.4134, 0.2500, 0.7519)
In (0.5866, 0.7500, 0.2481)
In (0.1426, 0.2500, 0.9731)
In (0.8574, 0.7500, 0.0269)
In (0.3574, 0.7500, 0.4731)
In (0.6426, 0.2500, 0.5269)
Se (0.1707, 0.5148, 0.7955)
Se (0.8293, 0.4852, 0.2045)
Se (0.3293, 0.4852, 0.2955)
Se (0.6707, 0.5148, 0.7045)
Se (0.6707, 0.9852, 0.7045)
Se (0.3293, 0.0148, 0.2955)
Se (0.8293, 0.0148, 0.2045)
Se (0.1707, 0.9852, 0.7955)
Se (0.9333, 0.2500, 0.5538)
Se (0.0667, 0.7500, 0.4462)
Se (0.5667, 0.7500, 0.0538)
Se (0.4333, 0.2500, 0.9462)
Se (0.1443, 0.7500, 0.0575)
Se (0.8557, 0.2500, 0.9425)
Se (0.3557, 0.2500, 0.5575)
Se (0.6443, 0.7500, 0.4425)

For the magnetic moment, the calculation gives 0.00 Bohr magnetons per cell.


## MgIn2Se4 (PBE)

Data for MgIn2Se4 after structural relaxation.

Cell: 13.5141 13.5141 13.5141 Å, 17.63 17.63 17.63°
Atoms (fractional coordinates):
Mg (0.0000, 0.0000, 0.0000)
In (0.7634, 0.7634, 0.7634)
In (0.2366, 0.2366, 0.2366)
Se (0.8710, 0.8710, 0.8710)
Se (0.6998, 0.6998, 0.6998)
Se (0.1290, 0.1290, 0.1290)
Se (0.3002, 0.3002, 0.3002)


## MgIn2Se4 (PBE)

Data for MgIn2Se4 after structural relaxation.

Cell: 8.0416 8.0416 8.0416 Å, 107.73 107.73 113.01°
Atoms (fractional coordinates):
Mg (0.0000, 0.0000, 0.0000)
Mg (0.2500, 0.7500, 0.5000)
In (0.7475, 0.8750, 0.3725)
In (0.1250, 0.4975, 0.8725)
In (0.5025, 0.3750, 0.6275)
In (0.6250, 0.2525, 0.1275)
Se (0.3581, 0.5997, 0.2429)
Se (0.4003, 0.6432, 0.7585)
Se (0.3568, 0.1153, 0.7571)
Se (0.8847, 0.6419, 0.2415)
Se (0.8932, 0.1503, 0.2585)
Se (0.3653, 0.1068, 0.2571)
Se (0.8919, 0.6347, 0.7415)
Se (0.8497, 0.1081, 0.7429)

For the magnetic moment, the calculation gives 0.00 Bohr magnetons per cell.


## MgIn2Se4 (PBE)

Data for MgIn2Se4 after structural relaxation.

Cell: 3.9275 12.9629 13.5225 Å, 90.00 90.00 90.00°
Atoms (fractional coordinates):
Mg (0.7500, 0.1229, 0.4306)
Mg (0.2500, 0.8771, 0.5694)
Mg (0.2500, 0.3771, 0.9306)
Mg (0.7500, 0.6229, 0.0694)
In (0.2500, 0.1088, 0.0874)
In (0.7500, 0.8912, 0.9126)
In (0.7500, 0.3912, 0.5874)
In (0.2500, 0.6088, 0.4126)
In (0.2500, 0.1466, 0.7004)
In (0.7500, 0.8534, 0.2996)
In (0.7500, 0.3534, 0.2004)
In (0.2500, 0.6466, 0.7996)
Se (0.7500, 0.0223, 0.6091)
Se (0.2500, 0.9777, 0.3909)
Se (0.2500, 0.4777, 0.1091)
Se (0.7500, 0.5223, 0.8909)
Se (0.2500, 0.0352, 0.8829)
Se (0.7500, 0.9648, 0.1171)
Se (0.7500, 0.4648, 0.3829)
Se (0.2500, 0.5352, 0.6171)
Se (0.2500, 0.2144, 0.2607)
Se (0.7500, 0.7856, 0.7393)
Se (0.7500, 0.2856, 0.7607)
Se (0.2500, 0.7144, 0.2393)
Se (0.7500, 0.2525, 0.0210)
Se (0.2500, 0.7475, 0.9790)
Se (0.2500, 0.2475, 0.5210)
Se (0.7500, 0.7525, 0.4790)

For the magnetic moment, the calculation gives 0.01 Bohr magnetons per cell.


## MgIn2Se4 (PBE)

Data for MgIn2Se4 after structural relaxation.

Cell: 13.8050 8.2053 6.7376 Å, 90.00 90.00 90.00°
Atoms (fractional coordinates):
Mg (0.0932, 0.2500, 0.9296)
Mg (0.9068, 0.7500, 0.0704)
Mg (0.4068, 0.7500, 0.4296)
Mg (0.5932, 0.2500, 0.5704)
In (0.0000, 0.0000, 0.5000)
In (0.5000, 0.0000, 0.0000)
In (0.5000, 0.5000, 0.0000)
In (0.0000, 0.5000, 0.5000)
In (0.2294, 0.7500, 0.9996)
In (0.7706, 0.2500, 0.0004)
In (0.2706, 0.2500, 0.4996)
In (0.7294, 0.7500, 0.5004)
Se (0.1667, 0.0025, 0.7434)
Se (0.8333, 0.9975, 0.2566)
Se (0.3333, 0.9975, 0.2434)
Se (0.6667, 0.0025, 0.7566)
Se (0.6667, 0.4975, 0.7566)
Se (0.3333, 0.5025, 0.2434)
Se (0.8333, 0.5025, 0.2566)
Se (0.1667, 0.4975, 0.7434)
Se (0.0740, 0.7500, 0.2485)
Se (0.9260, 0.2500, 0.7515)
Se (0.4260, 0.2500, 0.7485)
Se (0.5740, 0.7500, 0.2515)
Se (0.0930, 0.2500, 0.3096)
Se (0.9070, 0.7500, 0.6904)
Se (0.4070, 0.7500, 0.8096)
Se (0.5930, 0.2500, 0.1904)

For the magnetic moment, the calculation gives 0.00 Bohr magnetons per cell.


Values for DFT formation energy, eV/atom, ordered as above
-0.882; -0.680; -1.000; -0.950; -0.888; -0.929
Values for V, Å³ per cell, ordered as above
1439.4; 770.7; 197.6; 399.2; 688.5; 763.2